{
  "formula": "Na6Sc5Nb3Si6S6O48",
  "functional": "PBE-GGA",
  "state": "optimized geometry",
  "cell": [[-4.3198, -4.6672, 16.7755], [-2.2528, -5.3247, -6.8453], [20.0350, -11.0234, 2.0675]],
  "species": ["S", "S", "S", "S", "S", "S", "S", "S", "S", "S", "S", "S", "S", "S", "S", "S", "S", "S", "O", "O", "O", "O", "O", "O", "O", "O", "O", "O", "O", "O", "O", "O", "O", "O", "O", "O", "O", "O", "O", "O", "O", "O", "O", "O", "O", "O", "O", "O", "O", "O", "O", "O", "O", "O", "O", "O", "O", "O", "O", "O", "O", "O", "O", "O", "O", "O", "O", "O", "O", "O", "O", "O", "O", "O", "O", "O", "O", "O", "O", "O", "O", "O", "O", "O", "O", "O", "O", "O", "O", "O", "O", "O", "O", "O", "O", "O", "O", "O", "O", "O", "O", "O", "O", "O", "O", "O", "O", "O", "O", "O", "O", "O", "O", "O", "O", "O", "O", "O", "O", "O", "O", "O", "O", "O", "O", "O", "O", "O", "O", "O", "O", "O", "O", "O", "O", "O", "O", "O", "O", "O", "O", "O", "O", "O", "O", "O", "O", "O", "O", "O", "O", "O", "O", "O", "O", "O", "O", "O", "O", "O", "O", "O", "Sc", "Sc", "Sc", "Sc", "Sc", "Sc", "Sc", "Sc", "Sc", "Sc", "Sc", "Sc", "Sc", "Sc", "Sc", "Si", "Si", "Si", "Si", "Si", "Si", "Si", "Si", "Si", "Si", "Si", "Si", "Si", "Si", "Si", "Si", "Si", "Si", "Na", "Na", "Na", "Na", "Na", "Na", "Na", "Na", "Na", "Na", "Na", "Na", "Na", "Na", "Na", "Na", "Na", "Na", "Nb", "Nb", "Nb", "Nb", "Nb", "Nb", "Nb", "Nb", "Nb"],
  "fractional_positions": [[0.8339, 0.6294, 0.5844], [0.6452, 0.9990, 0.2499], [0.9797, 0.3289, 0.5838], [0.5235, 0.3798, 0.9171], [0.3345, 0.6274, 0.5840], [0.1670, 0.9559, 0.9170], [0.8347, 0.0452, 0.0833], [0.3554, 0.7126, 0.2485], [0.3345, 0.0419, 0.0844], [0.1877, 0.3320, 0.0845], [0.8533, 0.7101, 0.2491], [0.4803, 0.3305, 0.5837], [0.1859, 0.0412, 0.5836], [0.8554, 0.9991, 0.7495], [0.1683, 0.3813, 0.4168], [0.4783, 0.6264, 0.0842], [0.8107, 0.6664, 0.9167], [0.6855, 0.0403, 0.5840], [0.5654, 0.6489, 0.0797], [0.5121, 0.2092, 0.9118], [0.9301, 0.3044, 0.5296], [0.1541, 0.8282, 0.2553], [0.5139, 0.1930, 0.1943], [0.9172, 0.5270, 0.0264], [0.5924, 0.1566, 0.0929], [0.9866, 0.1670, 0.5908], [0.5978, 0.0244, 0.5895], [0.0910, 0.9821, 0.9129], [0.4093, 0.8316, 0.9141], [0.7688, 0.8361, 0.7540], [0.2210, 0.1384, 0.5291], [0.0682, 0.4788, 0.5799], [0.7409, 0.3145, 0.7407], [0.1558, 0.8559, 0.9697], [0.9115, 0.9910, 0.4116], [0.3444, 0.5393, 0.2404], [0.7516, 0.3543, 0.4219], [0.2397, 0.3140, 0.7413], [0.2598, 0.8696, 0.0798], [0.6036, 0.1773, 0.8092], [0.0896, 0.7029, 0.7577], [0.3185, 0.4899, 0.9242], [0.8177, 0.5055, 0.9205], [0.2659, 0.6906, 0.9762], [0.4857, 0.8004, 0.0912], [0.9815, 0.7947, 0.8074], [0.9197, 0.5145, 0.7408], [0.2595, 0.8211, 0.7590], [0.2691, 0.6976, 0.2533], [0.0105, 0.8323, 0.6942], [0.2476, 0.8528, 0.3600], [0.4276, 0.4876, 0.4216], [0.2377, 0.1294, 0.6341], [0.7580, 0.6418, 0.8635], [0.6539, 0.8318, 0.9728], [0.3254, 0.5243, 0.6355], [0.5750, 0.4626, 0.9695], [0.7298, 0.1507, 0.2422], [0.8214, 0.1212, 0.1356], [0.9372, 0.5150, 0.1402], [0.4384, 0.3743, 0.9216], [0.2572, 0.6471, 0.5797], [0.7590, 0.8706, 0.0763], [0.4076, 0.9907, 0.4116], [0.4347, 0.5176, 0.1343], [0.1729, 0.8647, 0.5809], [0.8416, 0.5370, 0.2436], [0.0829, 0.9720, 0.1949], [0.0668, 0.4958, 0.8586], [0.6451, 0.4582, 0.4729], [0.2447, 0.1345, 0.9233], [0.6728, 0.4972, 0.0759], [0.8969, 0.8176, 0.9121], [0.6804, 0.4980, 0.3596], [0.9247, 0.3601, 0.9253], [0.8423, 0.1454, 0.7407], [0.4027, 0.9684, 0.6944], [0.1807, 0.4847, 0.3639], [0.9307, 0.4908, 0.4219], [0.4897, 0.1879, 0.3091], [0.0993, 0.1719, 0.0900], [0.4139, 0.8038, 0.5883], [0.9128, 0.8080, 0.5912], [0.8178, 0.1418, 0.4217], [0.5655, 0.4912, 0.8641], [0.2407, 0.1717, 0.2419], [0.4349, 0.3467, 0.6338], [0.7694, 0.6840, 0.9692], [0.8973, 0.8175, 0.1960], [0.0090, 0.1838, 0.1948], [0.7685, 0.7026, 0.2518], [0.0785, 0.6638, 0.0764], [0.2408, 0.3478, 0.1350], [0.7566, 0.1481, 0.9255], [0.9366, 0.3498, 0.6348], [0.5835, 0.9776, 0.9135], [0.5144, 0.8379, 0.4063], [0.2472, 0.6353, 0.8617], [0.4217, 0.5193, 0.7407], [0.1770, 0.4834, 0.0811], [0.3503, 0.1484, 0.0318], [0.7394, 0.1308, 0.6348], [0.3127, 0.1406, 0.4224], [0.0160, 0.8437, 0.4120], [0.4873, 0.7851, 0.8123], [0.5678, 0.6307, 0.3600], [0.8478, 0.1524, 0.0303], [0.0957, 0.0224, 0.5898], [0.4279, 0.5501, 0.0295], [0.3401, 0.1594, 0.7397], [0.0832, 0.6970, 0.4732], [0.8484, 0.5541, 0.5316], [0.2245, 0.3038, 0.0301], [0.3448, 0.5447, 0.5306], [0.4219, 0.3275, 0.2413], [0.3260, 0.1284, 0.1363], [0.6572, 0.4860, 0.7612], [0.6043, 0.0177, 0.3022], [0.5829, 0.2012, 0.6943], [0.9046, 0.7891, 0.3015], [0.4130, 0.0314, 0.8088], [0.8960, 0.9697, 0.6966], [0.4147, 0.0232, 0.0919], [0.6505, 0.8383, 0.2511], [0.7240, 0.1390, 0.5297], [0.1032, 0.1808, 0.8104], [0.1051, 0.0254, 0.3117], [0.4304, 0.3083, 0.5287], [0.6801, 0.8561, 0.8605], [0.7446, 0.3549, 0.1419], [0.7690, 0.8375, 0.4735], [0.5842, 0.1847, 0.4087], [0.7359, 0.3058, 0.0261], [0.1547, 0.4592, 0.4692], [0.5902, 0.6972, 0.7573], [0.9850, 0.8207, 0.0909], [0.2675, 0.8394, 0.4749], [0.4070, 0.7878, 0.3010], [0.0812, 0.4575, 0.9722], [0.9156, 0.3161, 0.2445], [0.9134, 0.0279, 0.0882], [0.5168, 0.8385, 0.6952], [0.5875, 0.9752, 0.1968], [0.0686, 0.6392, 0.3588], [0.5932, 0.4898, 0.2538], [0.0811, 0.1873, 0.6945], [0.7503, 0.8594, 0.3585], [0.9885, 0.1836, 0.3109], [0.5803, 0.7040, 0.4740], [0.4876, 0.1699, 0.5882], [0.8258, 0.5267, 0.6364], [0.6750, 0.8656, 0.5818], [0.9056, 0.0244, 0.8020], [0.0902, 0.4784, 0.2572], [0.1492, 0.4744, 0.7538], [0.0904, 0.2071, 0.4122], [0.5671, 0.4834, 0.5810], [0.3986, 0.8224, 0.1961], [0.2440, 0.3567, 0.4229], [0.7574, 0.6498, 0.5812], [0.0087, 0.1817, 0.9096], [0.1797, 0.8792, 0.8641], [0.0018, 0.0000, 0.8512], [0.3347, 0.3275, 0.1904], [0.3385, 0.3389, 0.4780], [0.3347, 0.3334, 0.6911], [0.8335, 0.3374, 0.4751], [0.1695, 0.6760, 0.5177], [0.6675, 0.6686, 0.0208], [0.8405, 0.3453, 0.1835], [0.1622, 0.6570, 0.0169], [0.9967, 0.9954, 0.3512], [0.6673, 0.6689, 0.5145], [0.4997, 0.9983, 0.8514], [0.8328, 0.3418, 0.6888], [0.3321, 0.3371, 0.9789], [0.4950, 0.0011, 0.3551], [0.6671, 0.3739, 0.4188], [0.8141, 0.9550, 0.4176], [0.9820, 0.6292, 0.0837], [0.9992, 0.7035, 0.7539], [0.0206, 0.6703, 0.4189], [0.5196, 0.6677, 0.4182], [0.9973, 0.2899, 0.2526], [0.3533, 0.9992, 0.7540], [0.1470, 0.2885, 0.7527], [0.6474, 0.2907, 0.7538], [0.0191, 0.3724, 0.9165], [0.6678, 0.9606, 0.9195], [0.3106, 0.9539, 0.4179], [0.3127, 0.6737, 0.9193], [0.5033, 0.3022, 0.2529], [0.1477, 0.0080, 0.2533], [0.6924, 0.3418, 0.0846], [0.4983, 0.7093, 0.7526], [0.1685, 0.6691, 0.6702], [0.1565, 0.6607, 0.1628], [0.4865, 0.2973, 0.4157], [0.5001, 0.9987, 0.9908], [0.8382, 0.3394, 0.3328], [0.4839, 0.6815, 0.9118], [0.9938, 0.9975, 0.9978], [0.8321, 0.3387, 0.8307], [0.3335, 0.3270, 0.8228], [0.6636, 0.6600, 0.6630], [0.9787, 0.2919, 0.4109], [0.1637, 0.3140, 0.9131], [0.4948, 0.9875, 0.4953], [0.6653, 0.0304, 0.4186], [0.6669, 0.6526, 0.1658], [0.3363, 0.3336, 0.3303], [0.9858, 0.9738, 0.4938], [0.1646, 0.0257, 0.4130], [0.6637, 0.6569, 0.3180], [0.0049, 0.9986, 0.6502], [0.1598, 0.6737, 0.3102], [0.5002, 0.0034, 0.6546], [0.6646, 0.6735, 0.8096], [0.8338, 0.3386, 0.9791], [0.1648, 0.6505, 0.8092], [0.0044, 0.9990, 0.1492], [0.5067, 0.0199, 0.1465]],
  "dft_energy_ev_per_cell": -1612.3,
  "volume_a3_per_atom": 14.41,
  "ef_ev_per_fu": -205.6,
  "space_group": "P1 (1)",
  "m_tot_mub_per_cell": 0.00
}